Here is a geometry-optimized K2Al2O3F2 structure from the Materials Project. Energies are from PBE.

Cell and atoms, written as POSCAR:
```
K2Al2O3F2
1.0
-4.1760 3.2400 4.6523
-0.3084 -3.9998 5.7868
4.8442 2.9711 2.4460
K Al O F
4 4 6 4
Cartesian
-0.5301 1.3506 10.4257 K
-1.4582 0.3031 6.9056 K
1.8180 1.9082 5.9796 K
0.8899 0.8608 2.4595 K
0.1822 4.2310 8.2797 Al
-2.1357 2.3106 3.9268 Al
2.4955 -0.0992 8.9583 Al
0.1775 -2.0196 4.6054 Al
-0.1542 -1.9999 2.8934 O
-2.8074 0.0258 9.7349 O
-3.1621 1.3421 4.9497 O
-2.0880 1.6200 2.3261 O
-1.3223 -2.1019 5.4894 O
3.1672 2.1856 3.1503 O
-0.5729 2.6846 7.8832 F
-0.4990 2.2067 4.5819 F
0.8588 0.0046 8.3032 F
0.9327 -0.4732 5.0019 F
```

Here is a geometry-optimized LiTbHg2 structure from the Materials Project. Energies are from PBE.

Cell and atoms, written as POSCAR:
```
LiTbHg2
1.0
-3.1138 1.5276 3.6626
-4.9864 -0.0104 -0.7614
-2.9103 -3.3510 2.3968
Li Tb Hg
1 1 2
Cartesian
-5.5053 -0.9169 2.6490 Li
0.0000 0.0000 0.0000 Tb
-2.7526 -0.4585 1.3245 Hg
-8.2579 -1.3754 3.9735 Hg
```

Here is a geometry-optimized Na2B5O11 structure from the Materials Project. Energies are from PBE.

Cell and atoms, written as POSCAR:
```
Na2B5O11
1.0
-5.6607 -2.6537 1.6332
3.8384 -10.2027 -3.2737
4.0945 -1.9974 10.9461
Na B O
8 20 44
Cartesian
-0.2537 -1.5436 2.8130 Na
-1.1213 -3.9087 9.1270 Na
5.0024 -10.1833 3.2111 Na
-1.6343 -11.3361 -0.9378 Na
0.9681 -5.7323 4.4188 Na
1.9502 -7.2303 10.1992 Na
3.7228 -7.7311 6.9438 Na
-1.0614 -8.0155 2.2604 Na
-3.2980 -5.7191 2.1067 B
3.1988 -4.6318 6.2960 B
1.0550 -4.9997 1.4747 B
0.0728 -7.4186 7.8217 B
0.7538 -4.2982 -0.9607 B
-1.3493 -7.2426 5.7098 B
-1.1827 -4.4126 2.4195 B
1.2657 -5.2232 7.7768 B
-3.2598 -3.4762 3.2162 B
2.0558 -2.9428 7.7463 B
2.2456 -9.8779 1.7821 B
3.0822 -11.4441 7.6045 B
1.8262 -7.4116 1.6595 B
1.4776 -9.5335 7.8238 B
3.8078 -8.3048 0.6122 B
0.5965 -11.7686 7.6024 B
0.3876 -11.5488 1.3174 B
5.0725 -11.3109 6.0294 B
1.7994 -11.6725 3.4341 B
5.3437 -11.9694 8.4752 B
2.3286 -4.3219 1.2466 O
-1.1972 -7.9332 8.3276 O
0.4316 -5.1299 0.1139 O
-0.1026 -7.3388 6.3318 O
-3.9606 -5.9649 0.7955 O
3.1495 -4.5902 4.8078 O
-1.8733 -5.4193 1.8044 O
2.0871 -5.5211 6.7255 O
-1.8611 -3.4360 3.1536 O
1.2511 -3.9355 8.3195 O
-3.9437 -4.5736 2.7843 O
3.0200 -3.2674 6.8389 O
1.4530 -8.6611 2.0655 O
2.7560 -10.0086 7.7532 O
2.9314 -7.2353 0.8181 O
0.3869 -10.3866 7.6159 O
3.5573 -9.5243 1.1786 O
1.8589 -12.2790 7.7323 O
1.5799 -10.8306 0.8720 O
3.7207 -11.7854 6.3181 O
0.7705 -12.1657 2.6316 O
5.8936 -11.7225 7.2172 O
2.5487 -10.5856 3.0564 O
3.9937 -11.8667 8.7033 O
1.1499 -6.3178 2.1068 O
1.2504 -8.2291 8.1416 O
-0.0979 -12.5895 0.4046 O
5.6769 -11.8408 4.8023 O
0.1598 -4.2017 2.3405 O
0.3609 -6.0659 8.3462 O
4.0932 -6.5314 8.8723 O
-1.2687 -7.0866 4.3556 O
-0.7511 -10.6291 1.5183 O
5.1088 -9.8404 5.8914 O
1.9223 -12.3414 4.6205 O
2.1903 -10.2574 -1.5205 O
1.3720 -1.3585 4.6071 O
-1.3297 -4.5834 11.4503 O
4.7114 -7.7368 3.7879 O
-2.9836 -9.3857 -0.0557 O
-0.3123 -3.6821 5.2088 O
1.5097 -4.7864 10.7468 O
1.9468 -7.6815 5.2626 O
-0.8915 -7.0537 0.0177 O
```

Here is a geometry-optimized Ge3W5N9 structure from the Materials Project. Energies are from PBE.

Cell and atoms, written as POSCAR:
```
Ge3W5N9
1.0
8.3242 -1.1976 0.0000
-10.0779 9.4226 0.0000
0.0000 0.0000 13.4434
Ge W N
12 20 36
Cartesian
-7.1228 6.6597 13.3201 Ge
-2.9550 2.7629 0.1232 Ge
-7.9940 7.4742 6.5985 Ge
-2.0839 1.9484 6.8449 Ge
-2.3235 2.1724 10.5304 Ge
-7.7544 7.2502 2.9129 Ge
-2.7155 2.5389 3.8087 Ge
-7.3624 6.8837 9.6346 Ge
-4.8709 7.8469 10.0825 Ge
-1.9217 5.0895 3.3608 Ge
3.1172 0.3782 3.3608 Ge
0.1681 3.1356 10.0825 Ge
-4.7820 4.4711 11.2528 W
-5.2958 4.9515 2.1906 W
-0.2569 0.2402 4.5311 W
-9.8210 9.1824 8.9122 W
2.2504 -0.1986 11.9846 W
-0.3492 2.2320 1.4587 W
-5.3881 6.9433 5.2630 W
-2.7885 4.5127 8.1804 W
-4.0041 8.4236 1.4587 W
-1.4045 5.9930 11.9846 W
3.6345 1.2817 8.1804 W
1.0348 3.7123 5.2630 W
-5.7497 5.3759 7.8282 W
-4.3281 4.0467 5.6151 W
-9.3671 8.7580 1.1065 W
-0.7108 0.6646 12.3368 W
1.9822 2.1200 0.0000 W
-3.0568 6.8313 6.7217 W
-3.7358 6.1051 0.0000 W
1.3031 1.3937 6.7217 W
-4.6010 4.3018 9.1925 N
-5.4769 5.1208 4.2508 N
-0.4380 0.4095 2.4708 N
-9.6399 9.0131 10.9725 N
-3.3328 3.1161 11.7819 N
-6.7451 6.3065 1.6615 N
-1.7061 1.5952 5.0602 N
-8.3717 7.8274 8.3831 N
-0.2425 4.8751 10.9632 N
4.8803 0.0853 2.4802 N
-0.1586 4.7966 4.2415 N
4.7965 0.1637 9.2018 N
-1.5112 3.3500 2.4802 N
-6.6340 8.1397 10.9632 N
-1.5951 3.4284 9.2018 N
-6.5501 8.0613 4.2415 N
2.4259 1.6484 11.4305 N
1.4818 2.5311 2.0129 N
-3.5571 7.2424 4.7088 N
-2.6131 6.3597 8.7345 N
-4.1795 6.5767 2.0129 N
-3.2355 5.6940 11.4305 N
1.8035 0.9827 8.7345 N
0.8594 1.8654 4.7088 N
2.4403 0.1567 0.5059 N
-0.0074 2.4453 12.9375 N
-5.0464 7.1566 7.2276 N
-2.5986 4.8680 6.2158 N
-4.1940 8.0683 12.9375 N
-1.7462 5.7797 0.5059 N
3.2927 1.0684 6.2158 N
0.8449 3.3570 7.2276 N
-5.8005 5.4233 12.6803 N
-4.2774 3.9993 0.7631 N
-9.3163 8.7106 5.9586 N
-0.7615 0.7120 7.4848 N
```

Here is a geometry-optimized Sr2GdRuO6 structure from the Materials Project. Energies are from PBE.

Cell and atoms, written as POSCAR:
```
Sr2GdRuO6
1.0
-4.2760 -1.5922 3.7702
4.0351 -1.7707 3.8286
4.1277 5.8263 7.1420
Sr Gd Ru O
4 2 2 12
Cartesian
3.7747 2.2047 10.2271 Sr
3.9745 3.8416 6.4988 Sr
-0.0878 -1.3782 8.2420 Sr
0.1120 0.2587 4.5137 Sr
2.0639 2.9131 3.5710 Gd
-2.1380 -0.7961 1.8851 Gd
2.0175 -0.8854 1.9143 Ru
1.9434 1.2317 7.3704 Ru
2.1470 -0.7096 6.9921 O
1.6201 0.9838 2.4635 O
1.7397 3.1730 7.7487 O
2.2667 1.4796 12.2773 O
1.5637 0.7919 9.2794 O
4.2008 4.5153 9.1965 O
2.3230 1.6714 5.4614 O
-0.3140 -2.0519 5.5443 O
2.2728 -1.3648 3.8262 O
0.0086 1.0858 6.9393 O
1.6139 3.8282 10.9146 O
3.8781 1.3776 7.8015 O
```

The calculation puts the energy above the most stable polymorph in this dataset at 0 meV/atom.

Here is a geometry-optimized RbYMg6O8 structure from the Materials Project. Energies are from PBE.

Cell and atoms, written as POSCAR:
```
RbYMg6O8
1.0
-5.9201 0.6557 6.7043
-3.4284 -1.1701 -2.9130
0.6618 -4.4860 1.0231
Rb Y Mg O
1 1 6 8
Cartesian
-1.3833 -2.8280 -0.9449 Rb
0.0000 0.0000 0.0000 Y
-2.9601 0.3278 3.3521 Mg
-4.3434 -2.5002 2.4072 Mg
-1.2668 -2.0660 2.3209 Mg
-3.9915 -1.7643 5.4065 Mg
-3.3119 -0.4081 0.3529 Mg
-6.0366 -0.1063 3.4384 Mg
-1.5480 0.1715 1.7531 O
-4.3721 0.4842 4.9512 O
-3.0625 -2.6421 0.9567 O
-5.6242 -2.3583 3.8577 O
0.3309 -2.2430 0.5116 O
-2.6292 -1.9151 3.8637 O
-1.7142 -0.5851 -1.4565 O
-4.6743 -0.2572 1.8956 O
```

The calculation puts the energy above the most stable polymorph in this dataset at 0 meV/atom.

Here is a geometry-optimized TaH9N3F5 structure from the Materials Project. Energies are from PBE.

Cell and atoms, written as POSCAR:
```
TaH9N3F5
1.0
-3.8720 2.4900 2.9557
-3.4353 -10.7440 4.5511
7.3315 0.8166 7.4617
Ta H N F
4 36 12 20
Cartesian
2.5545 -2.1492 8.7406 Ta
0.3410 -7.3647 11.0113 Ta
-2.5303 -5.2882 6.2279 Ta
-0.3167 -0.0727 3.9572 Ta
3.0223 -4.3892 7.1132 H
-0.8258 -7.3110 13.5648 H
-2.9980 -3.0483 7.8553 H
0.8501 -0.1264 1.4037 H
1.3703 -4.3678 7.3560 H
3.9573 2.4602 9.1739 H
-1.3460 -3.0696 7.6124 H
-3.9330 -9.8976 5.7946 H
2.3748 -4.9817 8.5256 H
2.5595 1.8442 8.5253 H
-2.3505 -2.4557 6.4429 H
-2.5352 -9.2816 6.4432 H
-3.2360 -2.7859 3.6556 H
-1.3667 -8.0660 8.8554 H
3.2602 -4.6515 11.3129 H
1.3910 0.6286 6.1130 H
-3.5766 -1.2135 3.2951 H
-0.2197 -7.1164 8.1477 H
3.6009 -6.2239 11.6734 H
0.2440 -0.3210 6.8208 H
2.5901 -1.3680 11.4137 H
0.1360 -8.6760 8.5628 H
-2.5658 -6.0694 3.5548 H
-0.1117 1.2386 6.4057 H
4.0515 -0.0021 7.6274 H
0.3894 -4.6786 10.0772 H
-4.0272 -7.4354 7.3411 H
-0.3652 -2.7589 4.8913 H
4.8751 -1.4250 7.5146 H
-0.9888 -4.9906 10.9249 H
-4.8508 -6.0124 7.4539 H
1.0131 -2.4469 4.0436 H
4.9943 -0.5511 8.9087 H
-0.9477 -5.3629 9.3183 H
-4.9700 -6.8863 6.0597 H
0.9720 -2.0745 5.6502 H
2.2802 -4.2567 7.8082 N
-0.2828 -8.0665 13.1337 N
-2.2559 -3.1807 7.1603 N
0.3071 0.6291 1.8348 N
3.3721 -1.3472 10.7505 N
-0.3707 -7.8358 8.8612 N
-3.3478 -6.0903 4.2180 N
0.3950 0.3984 6.1073 N
4.3527 -0.8282 8.1588 N
-0.3882 -5.3426 10.1769 N
-4.3285 -6.6092 6.8097 N
0.4125 -2.0949 4.7916 N
4.1962 -3.2048 8.9999 F
-1.6202 -7.3086 11.1753 F
-4.1720 -4.2326 5.9686 F
1.6445 -0.1288 3.7931 F
1.8218 -3.2436 10.2231 F
3.5328 1.4204 6.2711 F
-1.7975 -4.1938 4.7454 F
-3.5085 -8.8578 8.6974 F
0.5901 -2.2748 8.2678 F
2.0293 -8.1027 11.8499 F
-0.5658 -5.1626 6.7007 F
-2.0051 0.6653 3.1186 F
2.6388 -1.9383 6.7858 F
0.7886 -5.9123 12.2615 F
-2.6145 -5.4991 8.1827 F
-0.7643 -1.5251 2.7069 F
1.8863 -0.2905 8.9476 F
1.7863 -6.7932 9.7749 F
-1.8620 -7.1469 6.0209 F
-1.7620 -0.6442 5.1936 F
```

Here is a geometry-optimized Na6HfZn3Si2S4O24 structure from the Materials Project. Energies are from PBE.

Cell and atoms, written as POSCAR:
```
Na6HfZn3Si2S4O24
1.0
-0.7707 0.7195 9.0311
3.6482 -7.4715 -3.6319
20.5451 9.1736 0.7433
Na Hf Zn Si S O
18 3 9 6 12 72
Cartesian
8.4205 -4.6253 2.2660 Na
6.0661 -0.2360 2.1912 Na
17.0550 2.4211 4.0100 Na
13.1190 3.0658 1.9941 Na
14.5396 0.1292 -1.8815 Na
14.9768 -1.2330 3.0231 Na
4.9059 -6.3254 -0.7950 Na
2.7876 -1.7792 -0.7107 Na
20.4779 4.0386 7.1331 Na
18.1631 8.5379 6.9501 Na
19.6489 6.5220 2.4178 Na
10.5720 -0.7683 4.1297 Na
13.0805 -2.1876 5.6493 Na
20.5220 9.0742 0.8100 Na
17.5218 5.7460 5.5645 Na
7.4707 1.1195 5.1829 Na
5.4738 -3.1717 0.7818 Na
15.8915 1.3182 1.1911 Na
20.8516 7.0564 5.4759 Hf
10.5448 2.4202 5.1885 Hf
18.9668 2.6470 1.1206 Hf
6.4643 3.9006 9.1775 Zn
17.5152 7.5839 0.5710 Zn
16.2834 -0.5796 5.6843 Zn
3.0976 1.3203 0.1979 Zn
14.7553 4.3447 5.3157 Zn
4.4141 -0.5044 4.8609 Zn
2.3927 -4.5039 0.5646 Zn
12.6935 -0.0739 1.2249 Zn
8.9495 -1.8991 0.7583 Zn
14.8795 7.3424 6.8798 Si
13.7911 1.1890 4.1898 Si
2.7422 -1.4726 2.1467 Si
20.2096 5.6968 -0.3323 Si
22.1589 1.5359 0.1649 Si
11.5496 -2.9692 2.5428 Si
8.5638 -4.9254 -0.8086 S
7.1583 -2.4736 4.0358 S
6.2031 0.0490 -0.9000 S
16.2570 4.8688 2.1571 S
17.9984 1.5998 -2.0009 S
12.4762 3.5182 7.9194 S
11.8532 5.3302 3.6445 S
3.3021 -3.2209 6.4265 S
1.4161 0.9978 5.9567 S
20.8038 3.8971 3.9113 S
9.6316 1.3051 1.9455 S
10.9892 -1.1144 -1.7388 S
6.1175 2.7678 1.9911 O
8.5092 -2.4601 4.6562 O
6.1245 2.0701 8.3188 O
17.0668 6.0700 1.8649 O
18.6329 2.1724 6.6215 O
16.0994 7.8913 7.8116 O
17.0675 -0.2822 3.9937 O
14.9236 4.8790 1.5067 O
17.1985 0.3450 -2.1337 O
6.4254 -3.7248 4.3652 O
4.7831 0.1276 -0.4191 O
7.4096 -5.3911 -1.6311 O
13.6994 3.7609 7.1645 O
13.1048 5.3394 4.3946 O
14.5690 2.6009 4.4160 O
4.0192 -1.9599 6.1547 O
2.8213 0.8446 5.5077 O
3.9670 -0.9520 3.0778 O
1.3721 -1.7143 3.1095 O
1.9279 -3.1656 5.7841 O
0.6852 -0.3401 5.7366 O
11.0669 4.0818 4.0203 O
12.1994 1.3769 4.6883 O
11.3568 3.1731 6.9424 O
22.0286 4.0956 3.1506 O
21.6134 5.7943 0.4524 O
23.0239 2.8862 0.3969 O
12.4354 -1.6193 2.2844 O
11.0424 1.2283 1.4905 O
12.0991 -0.6393 -0.8899 O
9.7224 -1.2963 -1.0075 O
10.1027 -3.0301 1.7851 O
8.9004 0.0158 1.7938 O
19.4427 4.2852 0.0484 O
20.6497 1.7006 0.8383 O
19.6402 3.5642 3.0186 O
11.4167 -2.3106 -2.4949 O
11.3740 -2.9361 4.1849 O
8.9837 2.4413 1.2978 O
19.4214 7.0612 0.0917 O
22.1333 1.1671 -1.4231 O
21.0374 2.8907 4.9563 O
11.9539 4.6896 8.6750 O
12.0229 5.2556 2.1669 O
14.3292 -0.1050 5.0853 O
3.9699 -4.4402 5.9177 O
1.2954 1.2092 7.4160 O
2.2180 -0.2642 1.1057 O
15.3696 6.0233 6.0695 O
16.1877 4.7534 3.6355 O
16.6448 3.4225 6.2388 O
6.4717 -1.2133 4.4776 O
5.4797 0.5095 6.6525 O
5.2953 1.4974 3.8527 O
20.3380 5.1601 4.6118 O
19.6496 6.3721 7.0364 O
19.1349 7.7112 4.6695 O
8.7547 3.1651 5.6494 O
9.6263 1.5262 3.4702 O
9.8877 0.6700 6.2231 O
3.2475 -2.7852 1.3213 O
3.9556 -4.0129 -1.1278 O
4.4310 -5.4303 1.5173 O
14.7369 -0.9153 0.3721 O
13.9019 0.9020 2.5533 O
13.4901 1.6623 -0.1803 O
8.0706 -3.7209 -0.0630 O
7.2582 -2.4271 2.5247 O
6.8507 -1.0290 -0.0924 O
16.9861 3.6188 1.6711 O
17.8829 1.9181 -0.5232 O
18.1294 1.1752 2.2195 O
```

no.,energy relative to the elements (eV per atom)
1,-3.21
2,-0.45
3,-2.11
4,-0.03
5,-2.83
6,-2.65
7,-1.51
8,-2.31